# Na9Nb5ZnSi9O36 PBE relaxed
# calculated volume	3205.5	Å³/cell
# E	-7.32	eV per atom
# relative energy among the computed polymorphs	0	meV/atom
# DFT formation energy	-2.89	eV per atom
data_Na9Nb5ZnSi9O36
_symmetry_space_group_name_H-M 'P 1'
_symmetry_Int_Tables_number 1
_cell_length_a 15.809
_cell_length_b 27.270
_cell_length_c 9.076
_cell_angle_alpha 89.84
_cell_angle_beta 124.99
_cell_angle_gamma 90.12
loop_
_symmetry_equiv_pos_as_xyz
'x,y,z'
loop_
_atom_site_label
_atom_site_type_symbol
_atom_site_fract_x
_atom_site_fract_y
_atom_site_fract_z
Si1 Si 0.640 0.701 0.241
Si2 Si 0.855 0.204 0.258
O1 O 0.923 0.949 0.761
O2 O 0.936 0.357 0.577
O3 O 0.137 0.881 0.418
O4 O 0.251 0.111 0.765
O5 O 0.430 0.114 0.773
O6 O 0.568 0.189 0.923
O7 O 0.257 0.730 0.246
O8 O 0.562 0.524 0.910
O9 O 0.145 0.140 0.239
O10 O 0.148 0.524 0.739
Na1 Na 0.757 0.754 0.019
O11 O 0.965 0.443 0.937
O12 O 0.528 0.721 0.068
Na2 Na 0.815 0.026 0.681
O13 O 0.066 0.976 0.426
O14 O 0.585 0.450 0.746
O15 O 0.930 0.614 0.773
O16 O 0.848 0.857 0.775
O17 O 0.964 0.556 0.438
O18 O 0.068 0.642 0.424
O19 O 0.649 0.359 0.745
O20 O 0.963 0.775 0.933
O21 O 0.416 0.515 0.554
O22 O 0.545 0.611 0.559
Si3 Si 0.854 0.798 0.753
O23 O 0.651 0.973 0.248
Na3 Na 0.260 0.589 0.022
O24 O 0.345 0.691 0.770
O25 O 0.041 0.779 0.549
Nb1 Nb 0.893 0.582 0.933
Na4 Na 0.499 0.625 0.275
Nb2 Nb 0.609 0.085 0.574
O26 O 0.537 0.943 0.565
O27 O 0.231 0.559 0.234
O28 O 0.966 0.223 0.443
O29 O 0.541 0.279 0.549
Si4 Si 0.000 0.319 0.750
O30 O 0.357 0.724 0.088
Si5 Si 0.355 0.036 0.257
Si6 Si 0.852 0.132 0.748
Nb3 Nb 0.108 0.751 0.061
O31 O 0.363 0.951 0.584
Na5 Na 0.999 0.125 0.275
Zn1 Zn 0.402 0.249 0.445
O32 O 0.348 0.357 0.775
O33 O 0.587 0.880 0.249
O34 O 0.085 0.950 0.746
O35 O 0.462 0.391 0.442
O36 O 0.848 0.524 0.754
O37 O 0.646 0.047 0.427
Si7 Si 0.645 0.631 0.742
Si8 Si 0.352 0.632 0.748
Si9 Si 0.644 0.034 0.245
Na6 Na 0.316 0.486 0.246
O38 O 0.045 0.111 0.559
O39 O 0.258 0.397 0.246
O40 O 0.028 0.548 0.069
Nb4 Nb 0.109 0.585 0.574
Zn2 Zn 0.902 0.749 0.445
Na7 Na 0.760 0.089 0.022
O41 O 0.231 0.226 0.239
O42 O 0.084 0.617 0.743
O43 O 0.757 0.230 0.246
O44 O 0.568 0.142 0.424
Na8 Na 0.209 0.644 0.286
Si10 Si 0.501 0.846 0.252
O45 O 0.424 0.884 0.261
O46 O 0.937 0.313 0.072
O47 O 0.962 0.109 0.926
O48 O 0.944 0.978 0.071
O49 O 0.646 0.308 0.239
O50 O 0.637 0.381 0.418
O51 O 0.917 0.048 0.242
O52 O 0.465 0.943 0.937
O53 O 0.062 0.024 0.910
O54 O 0.920 0.283 0.756
Nb5 Nb 0.102 0.081 0.059
O55 O 0.758 0.897 0.246
O56 O 0.416 0.213 0.241
O57 O 0.747 0.276 0.761
Na9 Na 0.499 0.289 0.269
Si11 Si 0.856 0.870 0.257
O58 O 0.087 0.380 0.249
O59 O 0.584 0.117 0.743
Nb6 Nb 0.108 0.250 0.576
O60 O 0.344 0.646 0.248
Si12 Si 0.003 0.014 0.250
Si13 Si 0.355 0.704 0.258
O61 O 0.144 0.118 0.921
O62 O 0.653 0.692 0.746
O63 O 0.760 0.770 0.746
Si14 Si 0.143 0.868 0.247
O64 O 0.417 0.548 0.242
O65 O 0.037 0.888 0.063
O66 O 0.464 0.056 0.438
Na10 Na 0.749 0.256 0.504
O67 O 0.349 0.622 0.571
Nb7 Nb 0.608 0.750 0.576
Na11 Na 0.003 0.537 0.754
O68 O 0.645 0.640 0.239
O69 O 0.751 0.611 0.765
Si15 Si 0.855 0.536 0.257
O70 O 0.924 0.384 0.261
Na12 Na 0.205 0.307 0.292
Nb8 Nb 0.391 0.915 0.430
Si16 Si 0.145 0.131 0.742
Nb9 Nb 0.609 0.417 0.572
O71 O 0.731 0.726 0.239
O72 O 0.588 0.548 0.243
O73 O 0.758 0.438 0.739
Na13 Na 0.312 0.192 0.679
Na14 Na 0.705 0.807 0.292
O74 O 0.246 0.443 0.754
O75 O 0.028 0.221 0.068
O76 O 0.069 0.309 0.426
Na15 Na 0.251 0.415 0.506
O77 O 0.353 0.290 0.576
Si17 Si 0.500 0.153 0.744
O78 O 0.528 0.048 0.069
O79 O 0.082 0.285 0.743
O80 O 0.420 0.783 0.756
O81 O 0.644 0.618 0.921
Nb10 Nb 0.397 0.417 0.936
Na16 Na 0.503 0.037 0.754
O82 O 0.760 0.102 0.746
O83 O 0.258 0.938 0.739
O84 O 0.260 0.602 0.746
O85 O 0.918 0.683 0.564
Na17 Na 0.999 0.465 0.254
Si18 Si 0.140 0.201 0.241
Nb11 Nb 0.891 0.415 0.430
O86 O 0.844 0.146 0.248
Si19 Si 0.355 0.964 0.753
Na18 Na 0.489 0.697 0.727
Na19 Na 0.751 0.915 0.506
O87 O 0.569 0.809 0.426
O88 O 0.244 0.893 0.268
O89 O 0.146 0.808 0.239
O90 O 0.644 0.950 0.923
O91 O 0.860 0.891 0.090
O92 O 0.582 0.785 0.743
Zn3 Zn 0.903 0.082 0.445
Na20 Na 0.257 0.254 0.019
Si20 Si 0.142 0.798 0.733
Si21 Si 0.855 0.464 0.753
O93 O 0.135 0.783 0.906
Si22 Si 0.000 0.653 0.744
O94 O 0.849 0.122 0.571
O95 O 0.916 0.015 0.554
Si23 Si 0.144 0.534 0.245
O96 O 0.568 0.855 0.931
O97 O 0.360 0.391 0.090
O98 O 0.151 0.473 0.248
O99 O 0.850 0.476 0.261
Si24 Si 0.998 0.986 0.735
Si25 Si 0.503 0.514 0.250
O100 O 0.089 0.712 0.245
O101 O 0.644 0.714 0.425
Na21 Na 0.308 0.154 0.238
Si26 Si 0.645 0.963 0.744
Si27 Si 0.643 0.368 0.247
O102 O 0.444 0.478 0.071
O103 O 0.853 0.790 0.576
O104 O 0.436 0.857 0.577
O105 O 0.437 0.813 0.072
Na22 Na 0.808 0.654 0.238
Si28 Si 0.003 0.680 0.248
O106 O 0.259 0.064 0.241
Nb12 Nb 0.109 0.917 0.572
Nb13 Nb 0.106 0.415 0.068
Na23 Na 0.748 0.415 0.998
O107 O 0.566 0.476 0.426
O108 O 0.466 0.723 0.443
O109 O 0.463 0.275 0.933
Na24 Na 0.816 0.986 0.246
O110 O 0.962 0.891 0.442
O111 O 0.348 0.024 0.754
O112 O 0.423 0.449 0.761
O113 O 0.731 0.059 0.234
O114 O 0.357 0.050 0.082
Nb14 Nb 0.889 0.252 0.932
O115 O 0.260 0.270 0.746
O116 O 0.857 0.224 0.088
Na25 Na 0.743 0.577 0.497
O117 O 0.648 0.024 0.739
Zn4 Zn 0.403 0.582 0.445
O118 O 0.149 0.859 0.745
O119 O 0.088 0.048 0.243
Na26 Na 0.243 0.077 0.497
Nb15 Nb 0.606 0.915 0.068
O120 O 0.153 0.192 0.746
O121 O 0.342 0.312 0.243
Na27 Na 0.315 0.526 0.681
O122 O 0.589 0.212 0.245
O123 O 0.418 0.183 0.564
O124 O 0.759 0.564 0.241
Si29 Si 0.001 0.346 0.252
O125 O 0.445 0.141 0.078
O126 O 0.746 0.943 0.754
O127 O 0.247 0.776 0.761
Na28 Na 0.989 0.862 0.720
O128 O 0.462 0.609 0.926
Nb16 Nb 0.602 0.581 0.059
Na29 Na 0.709 0.144 0.286
Na30 Na 0.999 0.789 0.269
Si30 Si 0.498 0.486 0.735
Si31 Si 0.354 0.298 0.753
Si32 Si 0.145 0.463 0.744
O129 O 0.146 0.547 0.427
Na31 Na 0.812 0.692 0.679
O130 O 0.537 0.388 0.063
Si33 Si 0.356 0.370 0.257
O131 O 0.845 0.191 0.770
Nb17 Nb 0.393 0.082 0.933
O132 O 0.857 0.550 0.082
Nb18 Nb 0.389 0.752 0.932
O133 O 0.037 0.443 0.565
Na32 Na 0.499 0.965 0.254
O134 O 0.842 0.812 0.243
Na33 Na 0.489 0.362 0.720
O135 O 0.350 0.976 0.261
O136 O 0.144 0.450 0.923
Nb19 Nb 0.897 0.917 0.936
Si34 Si 0.500 0.819 0.750
Si35 Si 0.642 0.298 0.733
Si36 Si 0.503 0.180 0.248
Nb20 Nb 0.608 0.251 0.061
O137 O 0.744 0.393 0.268
Na34 Na 0.248 0.915 0.998
Na35 Na 0.249 0.756 0.504
Na36 Na 0.989 0.197 0.727
O138 O 0.916 0.713 0.241
O139 O 0.068 0.689 0.923
O140 O 0.863 0.451 0.584
O141 O 0.945 0.641 0.078
O142 O 0.635 0.283 0.906
O143 O 0.144 0.214 0.425
O144 O 0.068 0.355 0.931

---

# Y2Zr8O19 PBE relaxed
# calculated volume	342.4	Å³/cell
# E	-9.34	eV per atom
# DFT formation energy	-3.74	eV per atom
# space-group type	P-4m2
data_Y2Zr8O19
_symmetry_space_group_name_H-M 'P 1'
_symmetry_Int_Tables_number 1
_cell_length_a 3.647
_cell_length_b 3.647
_cell_length_c 25.748
_cell_angle_alpha 90.00
_cell_angle_beta 90.00
_cell_angle_gamma 90.00
loop_
_symmetry_equiv_pos_as_xyz
'x,y,z'
loop_
_atom_site_label
_atom_site_type_symbol
_atom_site_fract_x
_atom_site_fract_y
_atom_site_fract_z
O1 O 0.500 0.500 0.697
O2 O 0.000 0.000 0.195
Zr1 Zr 0.500 0.000 0.248
Zr2 Zr 0.500 0.000 0.851
O3 O 0.500 0.500 0.102
O4 O 0.500 0.500 0.203
O5 O 0.500 0.500 0.303
Y1 Y 0.000 0.500 0.557
O6 O 0.500 0.500 0.402
O7 O 0.000 0.000 0.293
O8 O 0.500 0.500 0.898
O9 O 0.500 0.500 0.797
Y2 Y 0.500 0.000 0.443
Zr3 Zr 0.000 0.500 0.347
O10 O 0.000 0.000 0.000
Zr4 Zr 0.000 0.500 0.149
Zr5 Zr 0.500 0.000 0.050
Zr6 Zr 0.000 0.500 0.752
O11 O 0.000 0.000 0.707
O12 O 0.000 0.000 0.391
O13 O 0.500 0.500 0.598
O14 O 0.000 0.000 0.903
O15 O 0.000 0.000 0.097
Zr7 Zr 0.000 0.500 0.950
O16 O 0.000 0.000 0.500
O17 O 0.500 0.500 0.000
O18 O 0.000 0.000 0.805
Zr8 Zr 0.500 0.000 0.653
O19 O 0.000 0.000 0.609

---

# ThCoSi PBE relaxed
# calculated volume	116.1	Å³/cell
# E	-7.36	eV per atom
# DFT formation energy	-0.69	eV per atom
# space-group type	I4_1md
data_ThCoSi
_symmetry_space_group_name_H-M 'P 1'
_symmetry_Int_Tables_number 1
_cell_length_a 7.462
_cell_length_b 7.462
_cell_length_c 7.462
_cell_angle_alpha 148.03
_cell_angle_beta 148.03
_cell_angle_gamma 45.84
loop_
_symmetry_equiv_pos_as_xyz
'x,y,z'
loop_
_atom_site_label
_atom_site_type_symbol
_atom_site_fract_x
_atom_site_fract_y
_atom_site_fract_z
Co1 Co 0.170 0.170 0.000
Th1 Th 0.577 0.577 0.000
Th2 Th 0.327 0.827 0.500
Co2 Co 0.920 0.420 0.500
Si1 Si 0.750 0.250 0.500
Si2 Si 0.000 0.000 0.000